Record 1
# Li2Cr3NiO8 PBE with a Hubbard U relaxed
data_Li2Cr3NiO8
_chemical_formula_sum 'Li8 Cr12 Ni4 O32'
_space_group_name_H-M_alt 'P 1'
_space_group_IT_number 1
_cell_length_a 8.3094
_cell_length_b 8.3355
_cell_length_c 8.3892
_cell_angle_alpha 89.89
_cell_angle_beta 89.84
_cell_angle_gamma 89.68
loop_
_space_group_symop_operation_xyz
'x,y,z'
loop_
_atom_site_label
_atom_site_type_symbol
_atom_site_fract_x
_atom_site_fract_y
_atom_site_fract_z
_atom_site_occupancy
Li1 Li 0.0000 0.0000 0.0000 1
Li2 Li 0.0010 0.4995 0.4975 1
Li3 Li 0.2462 0.2503 0.7483 1
Li4 Li 0.2513 0.7532 0.2515 1
Li5 Li 0.4966 0.9989 0.5005 1
Li6 Li 0.4987 0.4988 0.0000 1
Li7 Li 0.7449 0.2520 0.2496 1
Li8 Li 0.7492 0.7532 0.7497 1
Cr1 Cr 0.1201 0.1198 0.3781 1
Cr2 Cr 0.1237 0.3713 0.1206 1
Cr3 Cr 0.1260 0.8730 0.6300 1
Cr4 Cr 0.3720 0.3734 0.3779 1
Cr5 Cr 0.3749 0.8746 0.8713 1
Cr6 Cr 0.3776 0.6223 0.6280 1
Cr7 Cr 0.6180 0.1215 0.8755 1
Cr8 Cr 0.6250 0.8748 0.1275 1
Cr9 Cr 0.6279 0.6221 0.3722 1
Cr10 Cr 0.8663 0.3706 0.8745 1
Cr11 Cr 0.8690 0.1220 0.6271 1
Cr12 Cr 0.8741 0.6226 0.1171 1
Ni1 Ni 0.1240 0.6263 0.8749 1
Ni2 Ni 0.3762 0.1255 0.1249 1
Ni3 Ni 0.6251 0.3777 0.6232 1
Ni4 Ni 0.8720 0.8769 0.3748 1
O1 O 0.1038 0.6035 0.1307 1
O2 O 0.1048 0.3757 0.8973 1
O3 O 0.1077 0.1104 0.6146 1
O4 O 0.1249 0.8965 0.3937 1
O5 O 0.1332 0.3587 0.3561 1
O6 O 0.1361 0.8730 0.8531 1
O7 O 0.1429 0.6463 0.6203 1
O8 O 0.1439 0.1384 0.1380 1
O9 O 0.3538 0.1471 0.3796 1
O10 O 0.3617 0.3591 0.1418 1
O11 O 0.3630 0.8587 0.6348 1
O12 O 0.3698 0.6348 0.8558 1
O13 O 0.3748 0.3907 0.6069 1
O14 O 0.3886 0.6070 0.3832 1
O15 O 0.3901 0.8945 0.1130 1
O16 O 0.3960 0.1166 0.8755 1
O17 O 0.6054 0.1127 0.1138 1
O18 O 0.6056 0.6268 0.6078 1
O19 O 0.6082 0.3936 0.3807 1
O20 O 0.6177 0.8546 0.3539 1
O21 O 0.6183 0.8905 0.8941 1
O22 O 0.6399 0.6359 0.1343 1
O23 O 0.6410 0.3555 0.8723 1
O24 O 0.6450 0.1261 0.6395 1
O25 O 0.8526 0.6249 0.3544 1
O26 O 0.8545 0.1332 0.8655 1
O27 O 0.8539 0.8595 0.1272 1
O28 O 0.8730 0.6080 0.8935 1
O29 O 0.8815 0.3557 0.6486 1
O30 O 0.8845 0.3828 0.1064 1
O31 O 0.8891 0.8943 0.6176 1
O32 O 0.8933 0.1277 0.3896 1
# Distance to the lowest polymorph of the same formula = 13.4 meV/atom
# Space-group type = P1 (1)
# Formation energy = -2.006 eV per atom
# Magnetization = 32.00 Bohr magnetons per cell

=====

Record 2
# Li2Cr3NiO8 PBE with a Hubbard U relaxed
data_Li2Cr3NiO8
_chemical_formula_sum 'Li2 Cr3 Ni1 O8'
_space_group_name_H-M_alt 'P 1'
_space_group_IT_number 1
_cell_length_a 5.9281
_cell_length_b 5.9281
_cell_length_c 5.9281
_cell_angle_alpha 59.31
_cell_angle_beta 59.31
_cell_angle_gamma 59.31
loop_
_space_group_symop_operation_xyz
'x,y,z'
loop_
_atom_site_label
_atom_site_type_symbol
_atom_site_fract_x
_atom_site_fract_y
_atom_site_fract_z
_atom_site_occupancy
Li1 Li 0.1251 0.1251 0.1251 1
Li2 Li 0.8749 0.8749 0.8749 1
Cr1 Cr 0.0000 0.5000 0.5000 1
Cr2 Cr 0.5000 0.0000 0.5000 1
Cr3 Cr 0.5000 0.5000 0.0000 1
Ni1 Ni 0.5000 0.5000 0.5000 1
O1 O 0.2543 0.2543 0.7068 1
O2 O 0.2543 0.7068 0.2543 1
O3 O 0.2603 0.2603 0.2603 1
O4 O 0.2932 0.7457 0.7457 1
O5 O 0.7068 0.2543 0.2543 1
O6 O 0.7397 0.7397 0.7397 1
O7 O 0.7457 0.2932 0.7457 1
O8 O 0.7457 0.7457 0.2932 1
# Distance to the lowest polymorph of the same formula = 0.0 meV/atom
# Space-group type = R-3m (166)
# Formation energy = -2.019 eV per atom

=====

Record 3
# Li4Cr2Ni5O12 PBE with a Hubbard U relaxed
data_Li4Cr2Ni5O12
_chemical_formula_sum 'Li8 Cr4 Ni10 O24'
_space_group_name_H-M_alt 'P 1'
_space_group_IT_number 1
_cell_length_a 4.9860
_cell_length_b 8.8749
_cell_length_c 9.7495
_cell_angle_alpha 90.00
_cell_angle_beta 100.80
_cell_angle_gamma 90.00
loop_
_space_group_symop_operation_xyz
'x,y,z'
loop_
_atom_site_label
_atom_site_type_symbol
_atom_site_fract_x
_atom_site_fract_y
_atom_site_fract_z
_atom_site_occupancy
Li1 Li 0.0027 0.0000 0.2568 1
Li2 Li 0.2402 0.1610 0.5018 1
Li3 Li 0.4954 0.0067 0.7464 1
Li4 Li 0.4954 0.6580 0.7462 1
Li5 Li 0.5046 0.1580 0.2538 1
Li6 Li 0.5046 0.5067 0.2536 1
Li7 Li 0.7598 0.6610 0.4982 1
Li8 Li 0.9973 0.5000 0.7432 1
Cr1 Cr 0.2490 0.3312 0.9964 1
Cr2 Cr 0.2566 0.8228 0.4995 1
Cr3 Cr 0.7434 0.3228 0.5005 1
Cr4 Cr 0.7510 0.8312 0.0036 1
Ni1 Ni 0.0079 0.3308 0.2539 1
Ni2 Ni 0.2450 0.6633 0.0005 1
Ni3 Ni 0.2469 0.4987 0.4987 1
Ni4 Ni 0.2489 0.9988 0.9969 1
Ni5 Ni 0.4929 0.3254 0.7461 1
Ni6 Ni 0.5071 0.8254 0.2539 1
Ni7 Ni 0.7511 0.4988 0.0031 1
Ni8 Ni 0.7531 0.9987 0.5013 1
Ni9 Ni 0.7550 0.1633 0.9995 1
Ni10 Ni 0.9921 0.8308 0.7461 1
O1 O 0.1108 0.9781 0.6116 1
O2 O 0.1175 0.3469 0.6095 1
O3 O 0.1197 0.1702 0.1159 1
O4 O 0.1284 0.6722 0.6193 1
O5 O 0.1313 0.8352 0.1138 1
O6 O 0.1364 0.4839 0.1155 1
O7 O 0.3662 0.6711 0.3907 1
O8 O 0.3681 0.4904 0.8808 1
O9 O 0.3723 0.8312 0.8830 1
O10 O 0.3940 0.1702 0.8866 1
O11 O 0.3956 0.9828 0.3832 1
O12 O 0.3990 0.3401 0.3789 1
O13 O 0.6010 0.8401 0.6211 1
O14 O 0.6044 0.4828 0.6168 1
O15 O 0.6060 0.6702 0.1134 1
O16 O 0.6277 0.3312 0.1170 1
O17 O 0.6319 0.9904 0.1192 1
O18 O 0.6338 0.1711 0.6093 1
O19 O 0.8636 0.9839 0.8845 1
O20 O 0.8687 0.3352 0.8862 1
O21 O 0.8716 0.1722 0.3807 1
O22 O 0.8803 0.6702 0.8841 1
O23 O 0.8825 0.8469 0.3905 1
O24 O 0.8892 0.4781 0.3884 1
# Space-group type = P2_1 (4)
# Formation energy = -1.655 eV per atom
# Magnetization = 24.00 Bohr magnetons per cell

=====

Record 4
# Li2Cr3NiO8 PBE with a Hubbard U relaxed
data_Li2Cr3NiO8
_chemical_formula_sum 'Li8 Cr12 Ni4 O32'
_space_group_name_H-M_alt 'P 1'
_space_group_IT_number 1
_cell_length_a 8.3359
_cell_length_b 8.3317
_cell_length_c 8.3570
_cell_angle_alpha 90.00
_cell_angle_beta 90.01
_cell_angle_gamma 90.00
loop_
_space_group_symop_operation_xyz
'x,y,z'
loop_
_atom_site_label
_atom_site_type_symbol
_atom_site_fract_x
_atom_site_fract_y
_atom_site_fract_z
_atom_site_occupancy
Li1 Li 0.0019 0.0000 0.2500 1
Li2 Li 0.2500 0.2492 0.5011 1
Li3 Li 0.2515 0.7473 0.9983 1
Li4 Li 0.4978 0.4980 0.2492 1
Li5 Li 0.5022 0.9980 0.7508 1
Li6 Li 0.7485 0.2473 0.0017 1
Li7 Li 0.7500 0.7492 0.4989 1
Li8 Li 0.9981 0.5000 0.7500 1
Cr1 Cr 0.1187 0.6195 0.3733 1
Cr2 Cr 0.1207 0.3707 0.1280 1
Cr3 Cr 0.1273 0.8692 0.6177 1
Cr4 Cr 0.3685 0.3692 0.8776 1
Cr5 Cr 0.3729 0.6194 0.6213 1
Cr6 Cr 0.3775 0.1197 0.1317 1
Cr7 Cr 0.6225 0.6197 0.8683 1
Cr8 Cr 0.6271 0.1194 0.3787 1
Cr9 Cr 0.6315 0.8692 0.1224 1
Cr10 Cr 0.8727 0.3692 0.3823 1
Cr11 Cr 0.8793 0.8707 0.8720 1
Cr12 Cr 0.8813 0.1195 0.6267 1
Ni1 Ni 0.1247 0.1238 0.8746 1
Ni2 Ni 0.3748 0.8738 0.3744 1
Ni3 Ni 0.6252 0.3738 0.6256 1
Ni4 Ni 0.8753 0.6238 0.1254 1
O1 O 0.1040 0.8758 0.8568 1
O2 O 0.1063 0.3821 0.3661 1
O3 O 0.1073 0.1084 0.6301 1
O4 O 0.1298 0.8583 0.3930 1
O5 O 0.1328 0.6029 0.1481 1
O6 O 0.1343 0.6318 0.6058 1
O7 O 0.1390 0.1394 0.1160 1
O8 O 0.1422 0.3736 0.8904 1
O9 O 0.3531 0.8526 0.6318 1
O10 O 0.3574 0.6265 0.3968 1
O11 O 0.3578 0.3570 0.1157 1
O12 O 0.3778 0.1459 0.8935 1
O13 O 0.3842 0.3890 0.6393 1
O14 O 0.3841 0.6071 0.8572 1
O15 O 0.3894 0.1225 0.3568 1
O16 O 0.3936 0.8959 0.1217 1
O17 O 0.6064 0.3959 0.8783 1
O18 O 0.6106 0.6225 0.6432 1
O19 O 0.6159 0.1071 0.1428 1
O20 O 0.6158 0.8890 0.3607 1
O21 O 0.6222 0.6459 0.1065 1
O22 O 0.6422 0.8570 0.8843 1
O23 O 0.6426 0.1265 0.6032 1
O24 O 0.6469 0.3526 0.3682 1
O25 O 0.8578 0.8736 0.1096 1
O26 O 0.8610 0.6394 0.8840 1
O27 O 0.8657 0.1318 0.3942 1
O28 O 0.8672 0.1029 0.8519 1
O29 O 0.8702 0.3583 0.6070 1
O30 O 0.8927 0.6084 0.3699 1
O31 O 0.8937 0.8821 0.6339 1
O32 O 0.8960 0.3758 0.1432 1
# Distance to the lowest polymorph of the same formula = 6.2 meV/atom
# Space-group type = P2_1 (4)
# Formation energy = -2.013 eV per atom
# Magnetization = 32.00 Bohr magnetons per cell

=====

Repeat the second record exactly.
# Li2Cr3NiO8 PBE with a Hubbard U relaxed
data_Li2Cr3NiO8
_chemical_formula_sum 'Li2 Cr3 Ni1 O8'
_space_group_name_H-M_alt 'P 1'
_space_group_IT_number 1
_cell_length_a 5.9281
_cell_length_b 5.9281
_cell_length_c 5.9281
_cell_angle_alpha 59.31
_cell_angle_beta 59.31
_cell_angle_gamma 59.31
loop_
_space_group_symop_operation_xyz
'x,y,z'
loop_
_atom_site_label
_atom_site_type_symbol
_atom_site_fract_x
_atom_site_fract_y
_atom_site_fract_z
_atom_site_occupancy
Li1 Li 0.1251 0.1251 0.1251 1
Li2 Li 0.8749 0.8749 0.8749 1
Cr1 Cr 0.0000 0.5000 0.5000 1
Cr2 Cr 0.5000 0.0000 0.5000 1
Cr3 Cr 0.5000 0.5000 0.0000 1
Ni1 Ni 0.5000 0.5000 0.5000 1
O1 O 0.2543 0.2543 0.7068 1
O2 O 0.2543 0.7068 0.2543 1
O3 O 0.2603 0.2603 0.2603 1
O4 O 0.2932 0.7457 0.7457 1
O5 O 0.7068 0.2543 0.2543 1
O6 O 0.7397 0.7397 0.7397 1
O7 O 0.7457 0.2932 0.7457 1
O8 O 0.7457 0.7457 0.2932 1
# Distance to the lowest polymorph of the same formula = 0.0 meV/atom
# Space-group type = R-3m (166)
# Formation energy = -2.019 eV per atom